Record 1
Material: Zr2Cu3Sb
Method: DFT, GGA-PBE
State: optimized geometry

Properties
- Space-group type: P4/mmm, No. 123

POSCAR file:
```
Zr2Cu3Sb
1.0
2.795 0.000 0.000
0.000 2.795 0.000
0.000 0.000 16.112
Cu Zr Sb
3 2 1
direct
0.500 0.500 0.335 Cu
0.500 0.500 0.665 Cu
0.500 0.500 0.000 Cu
0.500 0.500 0.828 Zr
0.500 0.500 0.172 Zr
0.500 0.500 0.500 Sb
```

=====

Record 2
Material: NaMg14Nb
Method: DFT, GGA-PBE
State: optimized geometry

Properties
- Space-group type: Amm2, No. 38
- Energy relative to the lowest polymorph listed for this composition: 22.6 meV per atom

POSCAR file:
```
NaMg14Nb
1.0
-0.499 0.994 -6.286
3.231 -5.168 2.302
-8.553 -5.428 -0.179
Mg Na Nb
14 1 1
direct
0.167 0.834 0.625 Mg
0.328 0.674 0.371 Mg
0.829 0.164 0.377 Mg
0.829 0.164 0.873 Mg
0.328 0.674 0.879 Mg
0.328 0.154 0.371 Mg
0.667 0.832 0.625 Mg
0.328 0.154 0.879 Mg
0.169 0.334 0.625 Mg
0.664 0.336 0.125 Mg
0.664 0.828 0.125 Mg
0.667 0.335 0.625 Mg
0.843 0.672 0.881 Mg
0.843 0.672 0.369 Mg
0.168 0.334 0.125 Na
0.177 0.838 0.125 Nb
```

=====

Record 3
Material: Ca2ScNbO6
Method: DFT, GGA-PBE
State: optimized geometry

Properties
- Space-group type: P2_1/c, No. 14

POSCAR file:
```
Ca2ScNbO6
1.0
-0.582 5.427 -1.735
-4.321 0.624 3.403
0.576 3.000 9.191
Sc Ca O Nb
2 4 12 2
direct
0.500 0.000 0.500 Sc
0.000 0.000 0.000 Sc
0.447 0.236 0.751 Ca
0.053 0.236 0.251 Ca
0.553 0.764 0.249 Ca
0.947 0.764 0.749 Ca
0.209 0.749 0.946 O
0.291 0.749 0.446 O
0.303 0.156 0.051 O
0.697 0.844 0.949 O
0.533 0.644 0.756 O
0.803 0.844 0.449 O
0.197 0.156 0.551 O
0.967 0.644 0.256 O
0.033 0.356 0.744 O
0.791 0.251 0.054 O
0.467 0.356 0.244 O
0.709 0.251 0.554 O
0.500 0.500 0.000 Nb
0.000 0.500 0.500 Nb
```

=====

Record 4
Material: ZnCu2SiTe4
Method: DFT, GGA-PBE
State: optimized geometry

Properties
- Space-group type: I-42m, No. 121

POSCAR file:
```
ZnCu2SiTe4
1.0
-3.015 3.015 6.009
3.015 -3.015 6.009
3.015 3.015 -6.009
Si Te Zn Cu
1 4 1 2
direct
0.500 0.500 0.000 Si
0.612 0.612 0.484 Te
0.388 0.872 0.000 Te
0.128 0.128 0.516 Te
0.872 0.388 0.000 Te
0.000 0.000 0.000 Zn
0.250 0.750 0.500 Cu
0.750 0.250 0.500 Cu
```

=====

Record 5
Material: Y3Mg
Method: DFT, GGA-PBE
State: optimized geometry

Properties
- Space-group type: P6_3/mmc, No. 194

POSCAR file:
```
Y3Mg
1.0
-6.104 -0.846 3.399
0.356 -1.155 -6.933
1.283 -5.387 0.963
Mg Y
2 6
direct
0.667 0.333 0.750 Mg
0.333 0.667 0.250 Mg
0.830 0.170 0.250 Y
0.830 0.660 0.250 Y
0.170 0.340 0.750 Y
0.170 0.830 0.750 Y
0.340 0.170 0.250 Y
0.660 0.830 0.750 Y
```

=====

Record 6
Material: TaCoTe2
Method: DFT, GGA-PBE
State: optimized geometry

Properties
- Space-group type: P2_1/c, No. 14

POSCAR file:
```
TaCoTe2
1.0
-0.057 6.044 1.916
1.382 -2.305 7.312
8.274 -0.568 2.037
Te Co Ta
8 4 4
direct
0.749 0.099 0.800 Te
0.251 0.901 0.200 Te
0.751 0.599 0.800 Te
0.249 0.401 0.200 Te
0.757 0.140 0.280 Te
0.257 0.360 0.720 Te
0.743 0.640 0.280 Te
0.243 0.860 0.720 Te
0.850 0.943 0.600 Co
0.350 0.557 0.400 Co
0.150 0.057 0.400 Co
0.650 0.443 0.600 Co
0.521 0.809 0.486 Ta
0.021 0.691 0.514 Ta
0.979 0.309 0.486 Ta
0.479 0.191 0.514 Ta
```

=====

Record 7
Material: Ce4CdRu
Method: DFT, GGA-PBE
State: optimized geometry

Properties
- Space-group type: F-43m, No. 216

POSCAR file:
```
Ce4CdRu
1.0
0.000 6.876 6.876
6.876 0.000 6.876
6.876 6.876 0.000
Ce Ru Cd
16 4 4
direct
0.940 0.940 0.560 Ce
0.940 0.560 0.560 Ce
0.560 0.560 0.940 Ce
0.347 0.347 0.958 Ce
0.810 0.190 0.190 Ce
0.347 0.347 0.347 Ce
0.560 0.940 0.940 Ce
0.190 0.810 0.190 Ce
0.940 0.560 0.940 Ce
0.810 0.810 0.190 Ce
0.190 0.810 0.810 Ce
0.810 0.190 0.810 Ce
0.958 0.347 0.347 Ce
0.347 0.958 0.347 Ce
0.190 0.190 0.810 Ce
0.560 0.940 0.560 Ce
0.136 0.136 0.136 Ru
0.136 0.136 0.591 Ru
0.136 0.591 0.136 Ru
0.591 0.136 0.136 Ru
0.263 0.579 0.579 Cd
0.579 0.579 0.263 Cd
0.579 0.579 0.579 Cd
0.579 0.263 0.579 Cd
```

=====

Record 8
Material: Co2CuGe2
Method: DFT, GGA-PBE
State: optimized geometry

Properties
- Space-group type: Pmma, No. 51

POSCAR file:
```
Co2CuGe2
1.0
3.865 0.000 0.000
0.000 5.018 0.000
0.000 0.000 6.684
Cu Co Ge
2 4 4
direct
0.000 0.000 0.000 Cu
0.000 0.500 0.000 Cu
0.500 0.750 0.160 Co
0.500 0.250 0.840 Co
0.500 0.500 0.500 Co
0.500 0.000 0.500 Co
0.500 0.250 0.196 Ge
0.500 0.750 0.804 Ge
0.000 0.250 0.622 Ge
0.000 0.750 0.378 Ge
```

=====

Respective E_tot values: -0.1776 -0.0730 -0.2980 -0.1327 -0.1930 -0.2442 -0.2147 -0.2093 Ha/atom.